The following is a DFT calculation (PBE) of NaP3PbO9 after structural relaxation.

VASP energy (eV per atom): -6.7863
Crystal system: orthorhombic
Space group: No. 19
Energy relative to the elements (meV per atom): -2527.5

abc: 5.788 11.121 12.928
angles: 90.00 90.00 90.00
Sites, in units of the cell vectors:
Na (0.110, 0.106, 0.412)
Na (0.390, 0.894, 0.912)
Na (0.610, 0.394, 0.588)
Na (0.890, 0.606, 0.088)
P (0.087, 0.208, 0.686)
P (0.102, 0.846, 0.645)
P (0.104, 0.582, 0.632)
P (0.396, 0.418, 0.132)
P (0.398, 0.154, 0.145)
P (0.413, 0.792, 0.186)
P (0.587, 0.292, 0.314)
P (0.602, 0.654, 0.355)
P (0.604, 0.918, 0.368)
P (0.896, 0.082, 0.868)
P (0.898, 0.346, 0.855)
P (0.913, 0.708, 0.814)
Pb (0.097, 0.472, 0.365)
Pb (0.403, 0.528, 0.865)
Pb (0.597, 0.028, 0.635)
Pb (0.903, 0.972, 0.135)
O (0.001, 0.439, 0.925)
O (0.020, 0.001, 0.942)
O (0.064, 0.096, 0.767)
O (0.090, 0.321, 0.764)
O (0.100, 0.717, 0.584)
O (0.125, 0.712, 0.882)
O (0.157, 0.452, 0.168)
O (0.167, 0.134, 0.195)
O (0.179, 0.798, 0.136)
O (0.321, 0.202, 0.636)
O (0.333, 0.866, 0.695)
O (0.343, 0.548, 0.668)
O (0.375, 0.288, 0.382)
O (0.400, 0.283, 0.084)
O (0.410, 0.679, 0.264)
O (0.436, 0.904, 0.267)
O (0.480, 0.999, 0.442)
O (0.499, 0.561, 0.425)
O (0.501, 0.061, 0.075)
O (0.520, 0.499, 0.058)
O (0.564, 0.404, 0.233)
O (0.590, 0.179, 0.236)
O (0.600, 0.783, 0.416)
O (0.625, 0.788, 0.118)
O (0.657, 0.048, 0.832)
O (0.667, 0.366, 0.805)
O (0.679, 0.702, 0.864)
O (0.821, 0.298, 0.364)
O (0.833, 0.634, 0.305)
O (0.843, 0.952, 0.332)
O (0.875, 0.212, 0.618)
O (0.900, 0.217, 0.916)
O (0.910, 0.821, 0.736)
O (0.936, 0.596, 0.733)
O (0.980, 0.501, 0.558)
O (0.999, 0.939, 0.575)